First-principles (PBE) data for an optimized crystal structure of KIr4O8, as listed in Materials Project.

a = 7.297 Å, b = 7.297 Å, c = 9.925 Å
α = 48.81°, β = 48.81°, γ = 25.40°
Element x y z (fractional)
K 0.000 0.000 0.000
Ir 0.838 0.838 0.814
Ir 0.162 0.162 0.186
Ir 0.645 0.645 0.523
Ir 0.355 0.355 0.477
O 0.787 0.787 0.062
O 0.145 0.145 0.400
O 0.855 0.855 0.600
O 0.456 0.456 0.721
O 0.160 0.160 0.640
O 0.840 0.840 0.360
O 0.213 0.213 0.938
O 0.544 0.544 0.279

Total magnetic moment = 0.8 Bohr magnetons per cell
Total energy after the MP2020 corrections = -7.114 eV per atom
Calculated volume = 167.2 Å³/cell
Energy of formation from the pure elements = -1.264 eV per atom

=====

First-principles (PBE) data for an optimized crystal structure of ZrNb2ZnO8, as listed in Materials Project.

a = 4.864 Å, b = 5.142 Å, c = 5.881 Å
α = 90.00°, β = 90.00°, γ = 90.72°
Element x y z (fractional)
Zr 0.500 0.750 0.329
Nb 0.000 0.250 0.171
Nb 0.000 0.750 0.814
Zn 0.500 0.250 0.694
O 0.777 0.572 0.112
O 0.223 0.928 0.112
O 0.213 0.433 0.892
O 0.787 0.067 0.892
O 0.740 0.091 0.374
O 0.260 0.409 0.374
O 0.266 0.905 0.618
O 0.734 0.595 0.618

Total magnetic moment = 0.0 Bohr magnetons per cell
Total energy after the MP2020 corrections = -8.809 eV per atom
Calculated volume = 147.1 Å³/cell
Energy of formation from the pure elements = -3.009 eV per atom

=====

First-principles (PBE) data for an optimized crystal structure of InSb3F18, as listed in Materials Project.

a = 9.044 Å, b = 9.044 Å, c = 9.806 Å
α = 90.00°, β = 90.00°, γ = 120.00°
Element x y z (fractional)
In 0.000 0.000 0.000
In 0.000 0.000 0.500
Sb 0.654 0.000 0.750
Sb 0.346 0.346 0.750
Sb 0.000 0.654 0.750
Sb 0.654 0.654 0.250
Sb 0.000 0.346 0.250
Sb 0.346 0.000 0.250
F 0.469 0.901 0.872
F 0.432 0.531 0.872
F 0.099 0.568 0.872
F 0.469 0.568 0.372
F 0.099 0.531 0.372
F 0.432 0.901 0.372
F 0.531 0.099 0.128
F 0.568 0.469 0.128
F 0.901 0.432 0.128
F 0.531 0.432 0.628
F 0.901 0.469 0.628
F 0.568 0.099 0.628
F 0.785 0.917 0.870
F 0.132 0.215 0.870
F 0.083 0.868 0.870
F 0.785 0.868 0.370
F 0.083 0.215 0.370
F 0.132 0.917 0.370
F 0.215 0.083 0.130
F 0.868 0.785 0.130
F 0.917 0.132 0.130
F 0.215 0.132 0.630
F 0.917 0.785 0.630
F 0.868 0.083 0.630
F 0.782 0.203 0.851
F 0.421 0.218 0.851
F 0.797 0.579 0.851
F 0.782 0.579 0.351
F 0.797 0.218 0.351
F 0.421 0.203 0.351
F 0.218 0.797 0.149
F 0.579 0.782 0.149
F 0.203 0.421 0.149
F 0.218 0.421 0.649
F 0.203 0.782 0.649
F 0.579 0.797 0.649

Total magnetic moment = 0.0 Bohr magnetons per cell
Total energy after the MP2020 corrections = -4.893 eV per atom
Calculated volume = 694.6 Å³/cell
Energy of formation from the pure elements = -2.638 eV per atom

=====

First-principles (PBE) data for an optimized crystal structure of NaAuO2, as listed in Materials Project.

a = 5.973 Å, b = 5.973 Å, c = 5.981 Å
α = 90.00°, β = 90.00°, γ = 143.11°
Element x y z (fractional)
Na 0.287 0.713 0.250
Na 0.713 0.287 0.750
Au 0.997 0.003 0.750
Au 0.003 0.997 0.250
O 0.878 0.122 0.493
O 0.122 0.878 0.507
O 0.878 0.122 0.007
O 0.122 0.878 0.993

Total magnetic moment = 0.0 Bohr magnetons per cell
Total energy after the MP2020 corrections = -4.709 eV per atom
Calculated volume = 128.1 Å³/cell
Energy of formation from the pure elements = -1.086 eV per atom

=====

First-principles (PBE) data for an optimized crystal structure of Cs3ErO3, as listed in Materials Project.

a = 7.598 Å, b = 7.598 Å, c = 7.631 Å
α = 83.98°, β = 83.98°, γ = 116.33°
Element x y z (fractional)
Cs 0.791 0.209 0.500
Cs 0.738 0.262 0.000
Cs 0.641 0.641 0.650
Cs 0.359 0.359 0.350
Cs 0.262 0.738 0.000
Cs 0.209 0.791 0.500
Er 0.829 0.829 0.148
Er 0.171 0.171 0.852
O 0.836 0.568 0.264
O 0.901 0.901 0.858
O 0.432 0.164 0.736
O 0.568 0.836 0.264
O 0.099 0.099 0.142
O 0.164 0.432 0.736

Total energy after the MP2020 corrections = -5.372 eV per atom
Calculated volume = 387.0 Å³/cell
Energy of formation from the pure elements = -2.215 eV per atom

=====

First-principles (PBE) data for an optimized crystal structure of LiB13C2, as listed in Materials Project.

a = 7.317 Å, b = 7.317 Å, c = 7.317 Å
α = 134.35°, β = 113.32°, γ = 84.55°
Element x y z (fractional)
Li 0.194 0.500 0.694
Li 0.325 0.000 0.325
B 0.408 0.416 0.992
B 0.376 0.568 0.304
B 0.736 0.928 0.304
B 0.130 0.921 0.695
B 0.982 0.654 0.000
B 0.346 0.018 0.000
B 0.130 0.435 0.209
B 0.736 0.432 0.808
B 0.164 0.153 0.680
B 0.098 0.082 0.015
B 0.002 0.176 0.826
B 0.346 0.346 0.328
B 0.774 0.565 0.695
B 0.576 0.584 0.992
B 0.376 0.072 0.808
B 0.868 0.500 0.368
B 0.527 0.516 0.680
B 0.933 0.918 0.015
B 0.856 0.675 0.181
B 0.164 0.484 0.010
B 0.982 0.982 0.328
B 0.650 0.824 0.826
B 0.774 0.079 0.209
B 0.506 0.325 0.181
B 0.643 0.000 0.643
B 0.527 0.847 0.010
C 0.504 0.868 0.635
C 0.767 0.132 0.635
C 0.743 0.368 0.375
C 0.008 0.632 0.375

Total magnetic moment = 0.0 Bohr magnetons per cell
Maximum piezoelectric response = 0.16 C/m2
Calculated volume = 247.2 Å³/cell
Energy of formation from the pure elements = -0.164 eV per atom

=====

First-principles (PBE) data for an optimized crystal structure of MgInO3, as listed in Materials Project.

a = 3.884 Å, b = 3.884 Å, c = 3.884 Å
α = 90.00°, β = 90.00°, γ = 90.00°
Element x y z (fractional)
Mg 0.500 0.500 0.500
In 0.000 0.000 0.000
O 0.500 0.500 0.000
O 0.500 0.000 0.500
O 0.000 0.500 0.500

Total magnetic moment = 1.1 Bohr magnetons per cell
Total energy after the MP2020 corrections = -5.259 eV per atom
Calculated volume = 58.6 Å³/cell
Energy of formation from the pure elements = -1.420 eV per atom

=====

First-principles (PBE) data for an optimized crystal structure of LiEuAsS3, as listed in Materials Project.

a = 13.121 Å, b = 5.711 Å, c = 7.215 Å
α = 75.43°, β = 90.00°, γ = 90.00°
Element x y z (fractional)
Li 0.292 0.725 0.069
Li 0.792 0.275 0.431
Li 0.708 0.275 0.931
Li 0.208 0.725 0.569
Eu 0.580 0.670 0.232
Eu 0.080 0.330 0.268
Eu 0.420 0.330 0.768
Eu 0.920 0.670 0.732
As 0.598 0.873 0.666
As 0.098 0.127 0.834
As 0.402 0.127 0.334
As 0.902 0.873 0.166
S 0.372 0.717 0.385
S 0.872 0.283 0.115
S 0.628 0.283 0.615
S 0.128 0.717 0.885
S 0.284 0.262 0.104
S 0.784 0.738 0.396
S 0.716 0.738 0.896
S 0.216 0.262 0.604
S 0.045 0.803 0.356
S 0.545 0.197 0.144
S 0.955 0.197 0.644
S 0.455 0.803 0.856

Total magnetic moment = 28.0 Bohr magnetons per cell
Total energy after the MP2020 corrections = -6.235 eV per atom
Calculated volume = 523.3 Å³/cell
Energy of formation from the pure elements = -1.362 eV per atom

=====

Which formula does entry 4 have?
NaAuO2

=====

What did the first record say?
First-principles (PBE) data for an optimized crystal structure of KIr4O8, as listed in Materials Project.

a = 7.297 Å, b = 7.297 Å, c = 9.925 Å
α = 48.81°, β = 48.81°, γ = 25.40°
Element x y z (fractional)
K 0.000 0.000 0.000
Ir 0.838 0.838 0.814
Ir 0.162 0.162 0.186
Ir 0.645 0.645 0.523
Ir 0.355 0.355 0.477
O 0.787 0.787 0.062
O 0.145 0.145 0.400
O 0.855 0.855 0.600
O 0.456 0.456 0.721
O 0.160 0.160 0.640
O 0.840 0.840 0.360
O 0.213 0.213 0.938
O 0.544 0.544 0.279

Total magnetic moment = 0.8 Bohr magnetons per cell
Total energy after the MP2020 corrections = -7.114 eV per atom
Calculated volume = 167.2 Å³/cell
Energy of formation from the pure elements = -1.264 eV per atom

=====

Look up the calculated volume of the first one.
167.2 Å³/cell